The following is a GGA+U calculation of a relaxed structure of LiFe2B2O6, from the Materials Project database.

```
data_LiFe2B2O6
_cell_length_a 5.278
_cell_length_b 9.056
_cell_length_c 11.306
_cell_angle_alpha 113.24
_cell_angle_beta 101.96
_cell_angle_gamma 90.09
_space_group_name_H-M_alt 'P 1'
_space_group_IT_number 1
loop_
_space_group_symop_operation_xyz
'x,y,z'
loop_
_atom_site_label
_atom_site_type_symbol
_atom_site_fract_x
_atom_site_fract_y
_atom_site_fract_z
Li1 Li 0.000 0.000 0.000
Li2 Li 0.079 0.385 0.743
Li3 Li 0.321 0.611 0.244
Li4 Li 0.746 0.760 0.495
Fe1 Fe 0.054 0.706 0.710
Fe2 Fe 0.238 0.904 0.467
Fe3 Fe 0.300 0.262 0.219
Fe4 Fe 0.494 0.807 0.954
Fe5 Fe 0.554 0.187 0.719
Fe6 Fe 0.749 0.393 0.458
Fe7 Fe 0.801 0.781 0.213
Fe8 Fe 0.994 0.327 0.969
B1 B 0.002 0.659 0.958
B2 B 0.034 0.033 0.708
B3 B 0.255 0.563 0.459
B4 B 0.281 0.925 0.202
B5 B 0.488 0.139 0.959
B6 B 0.556 0.517 0.713
B7 B 0.741 0.067 0.462
B8 B 0.806 0.452 0.220
O1 O 0.013 0.575 0.496
O2 O 0.042 0.428 0.182
O3 O 0.102 0.517 0.938
O4 O 0.110 0.777 0.925
O5 O 0.154 0.050 0.194
O6 O 0.183 0.817 0.248
O7 O 0.254 0.165 0.998
O8 O 0.272 0.024 0.673
O9 O 0.370 0.690 0.447
O10 O 0.374 0.420 0.434
O11 O 0.435 0.386 0.718
O12 O 0.448 0.664 0.760
O13 O 0.511 0.887 0.158
O14 O 0.535 0.077 0.520
O15 O 0.600 0.241 0.915
O16 O 0.619 0.007 0.962
O17 O 0.679 0.587 0.221
O18 O 0.692 0.347 0.260
O19 O 0.785 0.700 0.014
O20 O 0.786 0.506 0.667
O21 O 0.836 0.912 0.410
O22 O 0.860 0.196 0.456
O23 O 0.897 0.896 0.690
O24 O 0.936 0.185 0.750
```

The following is a GGA+U calculation of a relaxed structure of Li9Fe4B8O24, from the Materials Project database.

```
data_Li9Fe4B8O24
_cell_length_a 8.266
_cell_length_b 8.300
_cell_length_c 8.881
_cell_angle_alpha 67.78
_cell_angle_beta 68.34
_cell_angle_gamma 74.82
_space_group_name_H-M_alt 'P 1'
_space_group_IT_number 1
loop_
_space_group_symop_operation_xyz
'x,y,z'
loop_
_atom_site_label
_atom_site_type_symbol
_atom_site_fract_x
_atom_site_fract_y
_atom_site_fract_z
Li1 Li 0.000 0.000 0.000
Li2 Li 0.007 0.021 0.654
Li3 Li 0.221 0.504 0.879
Li4 Li 0.331 0.193 0.307
Li5 Li 0.338 0.818 0.471
Li6 Li 0.498 0.507 0.992
Li7 Li 0.657 0.003 0.109
Li8 Li 0.827 0.332 0.474
Li9 Li 0.835 0.682 0.308
Fe1 Fe 0.331 0.854 0.113
Fe2 Fe 0.351 0.180 0.663
Fe3 Fe 0.831 0.354 0.112
Fe4 Fe 0.851 0.680 0.665
B1 B 0.054 0.061 0.299
B2 B 0.125 0.461 0.477
B3 B 0.290 0.819 0.816
B4 B 0.389 0.216 0.964
B5 B 0.555 0.560 0.291
B6 B 0.624 0.962 0.467
B7 B 0.802 0.308 0.822
B8 B 0.892 0.725 0.953
O1 O 0.023 0.500 0.374
O2 O 0.079 0.563 0.582
O3 O 0.100 0.975 0.178
O4 O 0.142 0.019 0.415
O5 O 0.203 0.994 0.786
O6 O 0.263 0.326 0.478
O7 O 0.304 0.725 0.717
O8 O 0.329 0.287 0.821
O9 O 0.352 0.740 0.958
O10 O 0.365 0.321 0.057
O11 O 0.414 0.694 0.295
O12 O 0.467 0.040 0.009
O13 O 0.540 0.995 0.350
O14 O 0.571 0.060 0.577
O15 O 0.598 0.472 0.173
O16 O 0.656 0.521 0.394
O17 O 0.727 0.485 0.801
O18 O 0.763 0.824 0.481
O19 O 0.823 0.212 0.986
O20 O 0.851 0.230 0.703
O21 O 0.856 0.814 0.064
O22 O 0.867 0.811 0.792
O23 O 0.916 0.202 0.294
O24 O 0.962 0.545 0.989
```

The following is a GGA+U calculation of a relaxed structure of LiFe2B2O6, from the Materials Project database.

```
data_LiFe2B2O6
_cell_length_a 5.323
_cell_length_b 8.991
_cell_length_c 9.988
_cell_angle_alpha 89.21
_cell_angle_beta 88.02
_cell_angle_gamma 89.81
_space_group_name_H-M_alt 'P 1'
_space_group_IT_number 1
loop_
_space_group_symop_operation_xyz
'x,y,z'
loop_
_atom_site_label
_atom_site_type_symbol
_atom_site_fract_x
_atom_site_fract_y
_atom_site_fract_z
Li1 Li 0.000 0.000 0.000
Li2 Li 0.013 0.006 0.483
Li3 Li 0.322 0.989 0.751
Li4 Li 0.816 0.490 0.759
Fe1 Fe 0.001 0.665 0.526
Fe2 Fe 0.315 0.324 0.264
Fe3 Fe 0.323 0.653 0.775
Fe4 Fe 0.492 0.827 0.028
Fe5 Fe 0.503 0.181 0.521
Fe6 Fe 0.803 0.835 0.274
Fe7 Fe 0.808 0.163 0.777
Fe8 Fe 0.988 0.343 0.028
B1 B 0.308 0.659 0.274
B2 B 0.317 0.328 0.769
B3 B 0.494 0.159 0.027
B4 B 0.494 0.840 0.531
B5 B 0.826 0.831 0.775
B6 B 0.834 0.174 0.282
B7 B 0.982 0.677 0.019
B8 B 0.994 0.325 0.527
O1 O 0.067 0.323 0.813
O2 O 0.070 0.684 0.334
O3 O 0.232 0.305 0.466
O4 O 0.234 0.695 0.977
O5 O 0.353 0.714 0.563
O6 O 0.362 0.027 0.014
O7 O 0.367 0.284 0.075
O8 O 0.375 0.978 0.538
O9 O 0.411 0.523 0.264
O10 O 0.432 0.195 0.717
O11 O 0.442 0.784 0.225
O12 O 0.462 0.451 0.772
O13 O 0.571 0.832 0.813
O14 O 0.581 0.193 0.330
O15 O 0.747 0.165 0.986
O16 O 0.749 0.830 0.497
O17 O 0.856 0.811 0.058
O18 O 0.860 0.194 0.563
O19 O 0.862 0.547 0.013
O20 O 0.900 0.462 0.555
O21 O 0.936 0.698 0.729
O22 O 0.944 0.038 0.291
O23 O 0.958 0.300 0.234
O24 O 0.968 0.958 0.785
```

The following is a GGA+U calculation of a relaxed structure of LiFe2B2O6, from the Materials Project database.

```
data_LiFe2B2O6
_cell_length_a 5.249
_cell_length_b 9.141
_cell_length_c 11.308
_cell_angle_alpha 112.71
_cell_angle_beta 103.36
_cell_angle_gamma 90.05
_space_group_name_H-M_alt 'P 1'
_space_group_IT_number 1
loop_
_space_group_symop_operation_xyz
'x,y,z'
loop_
_atom_site_label
_atom_site_type_symbol
_atom_site_fract_x
_atom_site_fract_y
_atom_site_fract_z
Li1 Li 0.000 0.000 0.000
Li2 Li 0.059 0.728 0.745
Li3 Li 0.283 0.247 0.490
Li4 Li 0.505 0.498 0.003
Fe1 Fe 0.013 0.352 0.031
Fe2 Fe 0.065 0.077 0.775
Fe3 Fe 0.300 0.932 0.528
Fe4 Fe 0.327 0.651 0.285
Fe5 Fe 0.519 0.848 0.036
Fe6 Fe 0.573 0.563 0.777
Fe7 Fe 0.789 0.446 0.516
Fe8 Fe 0.809 0.150 0.277
B1 B 0.025 0.685 0.026
B2 B 0.072 0.409 0.785
B3 B 0.286 0.604 0.534
B4 B 0.317 0.320 0.279
B5 B 0.521 0.184 0.025
B6 B 0.568 0.897 0.781
B7 B 0.785 0.113 0.530
B8 B 0.827 0.814 0.280
O1 O 0.042 0.624 0.554
O2 O 0.100 0.822 0.319
O3 O 0.137 0.815 0.019
O4 O 0.169 0.210 0.296
O5 O 0.176 0.582 0.070
O6 O 0.200 0.430 0.233
O7 O 0.244 0.149 0.981
O8 O 0.338 0.427 0.799
O9 O 0.394 0.989 0.739
O10 O 0.403 0.694 0.481
O11 O 0.436 0.492 0.573
O12 O 0.464 0.777 0.811
O13 O 0.525 0.107 0.525
O14 O 0.589 0.324 0.310
O15 O 0.639 0.315 0.024
O16 O 0.669 0.693 0.274
O17 O 0.673 0.079 0.070
O18 O 0.715 0.930 0.238
O19 O 0.747 0.650 0.982
O20 O 0.836 0.918 0.796
O21 O 0.901 0.212 0.482
O22 O 0.913 0.510 0.743
O23 O 0.955 0.025 0.584
O24 O 0.968 0.294 0.818
```

In order of appearance, relative energy among the computed polymorphs = 10.6; 24.1; 21.8; 11.7 meV/atom.
In order of appearance, ΔE_f = -24.96; -104.38; -24.83; -24.94 eV per formula unit.